Here is a geometry-optimized NiP2O7 structure from the Materials Project database. Energies are from GGA+U.

Values from the calculation:
For the energy of formation, the calculation gives -1.840 eV per atom. The value obtained for the relative energy among the computed polymorphs is 158.5 meV per atom. As for the magnetic moment: 0.0 μB/cell. The crystal system is triclinic. For the calculated volume, the calculation gives 269.8 Å³ per cell. The space group is P-1 (2). The calculation puts the energy at -0.4578 Ry per atom.

a = 5.092 Å, b = 6.817 Å, c = 8.393 Å
α = 68.00°, β = 87.33°, γ = 87.76°
Element x y z (fractional)
Ni 0.247 0.210 0.228
Ni 0.753 0.790 0.772
P 0.246 0.110 0.672
P 0.282 0.453 0.807
P 0.718 0.547 0.193
P 0.754 0.890 0.328
O 0.046 0.934 0.281
O 0.105 0.649 0.733
O 0.176 0.291 0.975
O 0.292 0.346 0.664
O 0.294 0.123 0.487
O 0.434 0.958 0.796
O 0.436 0.484 0.182
O 0.564 0.516 0.818
O 0.566 0.042 0.204
O 0.706 0.877 0.513
O 0.708 0.654 0.336
O 0.824 0.709 0.025
O 0.895 0.351 0.267
O 0.954 0.066 0.719

Here is a geometry-optimized NiP4O12 structure from the Materials Project database. Energies are from GGA+U.

Values from the calculation:
For the energy of formation, the calculation gives -2.186 eV per atom. The value obtained for the relative energy among the computed polymorphs is 0.0 meV per atom. As for the magnetic moment: 8.0 μB/cell. The crystal system is monoclinic. For the calculated volume, the calculation gives 547.7 Å³ per cell. The space group is C2/m (12). The calculation puts the energy at -0.4894 Ry per atom.

a = 10.617 Å, b = 10.617 Å, c = 5.175 Å
α = 97.22°, β = 97.22°, γ = 71.90°
Element x y z (fractional)
Ni 0.000 0.500 0.000
Ni 0.500 0.000 0.000
P 0.144 0.704 0.823
P 0.197 0.438 0.529
P 0.296 0.856 0.177
P 0.438 0.197 0.529
P 0.562 0.803 0.471
P 0.704 0.144 0.823
P 0.803 0.562 0.471
P 0.856 0.296 0.177
O 0.057 0.668 0.992
O 0.071 0.822 0.669
O 0.102 0.410 0.683
O 0.171 0.430 0.235
O 0.178 0.929 0.331
O 0.221 0.579 0.637
O 0.273 0.727 0.000
O 0.332 0.943 0.008
O 0.346 0.346 0.603
O 0.410 0.102 0.683
O 0.421 0.779 0.363
O 0.430 0.171 0.235
O 0.570 0.829 0.765
O 0.579 0.221 0.637
O 0.590 0.898 0.317
O 0.654 0.654 0.397
O 0.668 0.057 0.992
O 0.727 0.273 0.000
O 0.779 0.421 0.363
O 0.822 0.071 0.669
O 0.829 0.570 0.765
O 0.898 0.590 0.317
O 0.929 0.178 0.331
O 0.943 0.332 0.008

Here is a geometry-optimized NiP4O12 structure from the Materials Project database. Energies are from GGA+U.

Values from the calculation:
For the energy of formation, the calculation gives -2.175 eV per atom. The value obtained for the relative energy among the computed polymorphs is 11.0 meV per atom. As for the magnetic moment: 16.0 μB/cell. The crystal system is orthorhombic. For the calculated volume, the calculation gives 937.2 Å³ per cell. The space group is Pnma (62). The calculation puts the energy at -0.4886 Ry per atom.

a = 9.521 Å, b = 9.183 Å, c = 10.718 Å
α = 90.00°, β = 90.00°, γ = 90.00°
Element x y z (fractional)
Ni 0.011 0.250 0.216
Ni 0.489 0.750 0.716
Ni 0.511 0.250 0.284
Ni 0.989 0.750 0.784
P 0.204 0.750 0.394
P 0.215 0.547 0.610
P 0.215 0.953 0.610
P 0.234 0.250 0.483
P 0.266 0.750 0.983
P 0.285 0.047 0.110
P 0.285 0.453 0.110
P 0.296 0.250 0.894
P 0.704 0.750 0.106
P 0.715 0.547 0.890
P 0.715 0.953 0.890
P 0.734 0.250 0.017
P 0.766 0.750 0.517
P 0.785 0.047 0.390
P 0.785 0.453 0.390
P 0.796 0.250 0.606
O 0.108 0.583 0.709
O 0.108 0.917 0.709
O 0.116 0.750 0.941
O 0.118 0.750 0.277
O 0.123 0.250 0.384
O 0.137 0.092 0.138
O 0.137 0.408 0.138
O 0.143 0.250 0.855
O 0.162 0.613 0.477
O 0.162 0.887 0.477
O 0.203 0.121 0.581
O 0.203 0.379 0.581
O 0.297 0.621 0.081
O 0.297 0.879 0.081
O 0.338 0.113 0.977
O 0.338 0.387 0.977
O 0.357 0.750 0.355
O 0.363 0.592 0.638
O 0.363 0.908 0.638
O 0.377 0.750 0.884
O 0.382 0.250 0.777
O 0.384 0.250 0.441
O 0.392 0.083 0.209
O 0.392 0.417 0.209
O 0.608 0.583 0.791
O 0.608 0.917 0.791
O 0.616 0.750 0.559
O 0.618 0.750 0.223
O 0.623 0.250 0.116
O 0.637 0.092 0.362
O 0.637 0.408 0.362
O 0.643 0.250 0.645
O 0.662 0.613 0.023
O 0.662 0.887 0.023
O 0.703 0.121 0.919
O 0.703 0.379 0.919
O 0.797 0.621 0.419
O 0.797 0.879 0.419
O 0.838 0.113 0.523
O 0.838 0.387 0.523
O 0.857 0.750 0.145
O 0.863 0.592 0.862
O 0.863 0.908 0.862
O 0.877 0.750 0.616
O 0.882 0.250 0.723
O 0.884 0.250 0.059
O 0.892 0.083 0.291
O 0.892 0.417 0.291

Here is a geometry-optimized Ni3P2O8 structure from the Materials Project database. Energies are from GGA+U.

Values from the calculation:
For the energy of formation, the calculation gives -2.073 eV per atom. The value obtained for the relative energy among the computed polymorphs is 38.2 meV per atom. As for the magnetic moment: 24.0 μB/cell. The crystal system is monoclinic. For the calculated volume, the calculation gives 581.7 Å³ per cell. The space group is P2_1/c (14). The calculation puts the energy at -0.4613 Ry per atom.

a = 8.701 Å, b = 11.116 Å, c = 6.106 Å
α = 90.00°, β = 99.97°, γ = 90.00°
Element x y z (fractional)
Ni 0.076 0.114 0.122
Ni 0.076 0.386 0.622
Ni 0.275 0.083 0.666
Ni 0.275 0.417 0.166
Ni 0.364 0.694 0.617
Ni 0.364 0.806 0.117
Ni 0.636 0.194 0.883
Ni 0.636 0.306 0.383
Ni 0.725 0.583 0.834
Ni 0.725 0.917 0.334
Ni 0.924 0.614 0.378
Ni 0.924 0.886 0.878
P 0.093 0.635 0.889
P 0.093 0.865 0.389
P 0.396 0.086 0.194
P 0.396 0.414 0.694
P 0.604 0.586 0.306
P 0.604 0.914 0.806
P 0.907 0.135 0.611
P 0.907 0.365 0.111
O 0.061 0.206 0.604
O 0.061 0.294 0.104
O 0.073 0.565 0.665
O 0.073 0.935 0.165
O 0.134 0.559 0.100
O 0.134 0.941 0.600
O 0.230 0.722 0.871
O 0.230 0.778 0.371
O 0.270 0.084 0.980
O 0.270 0.416 0.480
O 0.295 0.125 0.366
O 0.295 0.375 0.866
O 0.476 0.539 0.744
O 0.476 0.961 0.244
O 0.481 0.683 0.331
O 0.481 0.817 0.831
O 0.519 0.183 0.169
O 0.519 0.317 0.669
O 0.524 0.039 0.756
O 0.524 0.461 0.256
O 0.705 0.625 0.134
O 0.705 0.875 0.634
O 0.730 0.584 0.520
O 0.730 0.916 0.020
O 0.770 0.222 0.629
O 0.770 0.278 0.129
O 0.866 0.059 0.400
O 0.866 0.441 0.900
O 0.927 0.065 0.835
O 0.927 0.435 0.335
O 0.939 0.706 0.896
O 0.939 0.794 0.396

Which of these has the highest energy?
NiP2O7